Entry 1:
Computed, not measured: an optimized crystal structure of Li3Fe2OF5 at the GGA+U level of DFT.

The structure in POSCAR format:
```
Li3Fe2OF5
1.0
5.261 0.000 0.000
-1.700 4.984 0.000
-1.753 -2.470 8.995
Li Fe O F
6 4 2 10
direct
0.794 0.540 0.083
0.876 0.122 0.242
0.540 0.788 0.583
0.466 0.217 0.437
0.114 0.863 0.729
0.217 0.463 0.926
0.292 0.043 0.082
0.040 0.290 0.584
0.369 0.623 0.240
0.710 0.964 0.927
0.045 0.296 0.085
0.547 0.795 0.083
0.125 0.889 0.254
0.801 0.528 0.583
0.621 0.358 0.250
0.678 0.968 0.421
0.360 0.651 0.744
0.241 0.452 0.422
0.277 0.052 0.583
0.448 0.213 0.912
0.877 0.087 0.747
0.978 0.715 0.916
```

Space-group type: P1
Energy of formation from the pure elements, eV/atom: -2.61
ρ, g/cm3: 3.4
Size of the total moment, μB per formula unit: 8.00

=====

Entry 2:
Computed, not measured: an optimized crystal structure of Ba5Cr5O14 at the GGA+U level of DFT.

The structure in POSCAR format:
```
Ba5Cr5O14
1.0
-0.654 2.730 5.120
3.348 2.357 -4.140
-9.717 5.954 -4.468
Ba Cr O
5 5 14
direct
0.000 0.000 0.000
0.334 0.667 0.770
0.666 0.333 0.230
0.335 0.667 0.423
0.665 0.333 0.577
0.333 0.667 0.134
0.667 0.333 0.866
0.003 0.002 0.289
0.997 0.998 0.711
0.000 0.000 0.500
0.333 0.667 0.994
0.667 0.333 0.006
0.669 0.834 0.192
0.165 0.834 0.192
0.165 0.331 0.192
0.331 0.166 0.808
0.835 0.166 0.808
0.835 0.669 0.808
0.697 0.849 0.603
0.148 0.852 0.601
0.148 0.297 0.601
0.303 0.151 0.397
0.852 0.148 0.399
0.852 0.703 0.399
```

Space-group type: C2/m
Energy of formation from the pure elements, eV/atom: -2.62
ρ, g/cm3: 5.4
Size of the total moment, μB per formula unit: 12.00

=====

Entry 3:
Computed, not measured: an optimized crystal structure of Sr2Cr2GaO7 at the GGA+U level of DFT.

The structure in POSCAR format:
```
Sr2Cr2GaO7
1.0
-2.647 2.681 12.373
2.647 -2.681 12.373
2.647 2.681 -12.373
Sr Cr Ga O
4 4 2 14
direct
0.336 0.841 0.488
0.664 0.152 0.505
0.853 0.341 0.505
0.147 0.652 0.488
0.571 0.569 0.992
0.922 0.921 0.992
0.078 0.069 0.998
0.429 0.421 0.998
0.680 0.795 0.975
0.320 0.295 0.114
0.176 0.169 0.499
0.648 0.155 0.303
0.170 0.669 0.994
0.148 0.161 0.953
0.327 0.324 0.493
0.331 0.824 0.997
0.352 0.655 0.507
0.830 0.823 0.499
0.824 0.323 0.994
0.708 0.661 0.013
0.852 0.805 0.013
0.292 0.305 0.953
0.673 0.166 0.997
0.669 0.666 0.493
```

Space-group type: Ima2
Energy of formation from the pure elements, eV/atom: -2.32
ρ, g/cm3: 4.4
Size of the total moment, μB per formula unit: 5.00

=====

Entry 4:
Computed, not measured: an optimized crystal structure of Mg6TiNiO8 at the GGA+U level of DFT.

The structure in POSCAR format:
```
Mg6TiNiO8
1.0
8.598 0.000 0.000
0.000 4.252 0.000
0.000 0.000 4.252
Mg Ti Ni O
6 1 1 8
direct
0.500 0.000 0.000
0.500 0.500 0.500
0.251 0.000 0.500
0.749 0.000 0.500
0.251 0.500 0.000
0.749 0.500 0.000
0.000 0.500 0.500
0.000 0.000 0.000
0.257 0.000 0.000
0.743 0.000 0.000
0.252 0.500 0.500
0.748 0.500 0.500
0.000 0.000 0.500
0.500 0.000 0.500
0.000 0.500 0.000
0.500 0.500 0.000
```

Space-group type: P4/mmm
Energy of formation from the pure elements, eV/atom: -2.71
ρ, g/cm3: 4.1
Size of the total moment, μB per formula unit: 0.00

=====

Entry 5:
Computed, not measured: an optimized crystal structure of Li7Mn5O12 at the GGA+U level of DFT.

The structure in POSCAR format:
```
Li7Mn5O12
1.0
5.087 0.021 4.045
-4.653 6.145 0.729
-5.966 -6.089 5.053
Li Mn O
14 10 24
direct
0.329 0.415 0.080
0.338 0.918 0.587
0.179 0.700 0.051
0.171 0.195 0.544
0.487 0.633 0.616
0.496 0.138 0.123
0.848 0.055 0.720
0.844 0.548 0.220
0.823 0.786 0.447
0.818 0.279 0.947
0.173 0.469 0.798
0.152 0.948 0.287
0.515 0.386 0.380
0.493 0.864 0.868
0.333 0.667 0.333
0.333 0.167 0.833
0.006 0.004 0.005
0.012 0.510 0.507
0.655 0.823 0.160
0.661 0.330 0.661
0.003 0.252 0.251
0.011 0.755 0.751
0.664 0.081 0.416
0.656 0.578 0.916
0.750 0.296 0.310
0.785 0.820 0.833
0.917 0.038 0.356
0.882 0.513 0.833
0.088 0.211 0.899
0.091 0.717 0.397
0.576 0.616 0.270
0.579 0.122 0.768
0.424 0.639 0.973
0.456 0.166 0.495
0.243 0.695 0.693
0.211 0.168 0.172
0.756 0.046 0.060
0.754 0.552 0.564
0.910 0.287 0.607
0.912 0.781 0.102
0.105 0.489 0.172
0.107 0.992 0.674
0.562 0.844 0.494
0.559 0.342 0.993
0.413 0.876 0.228
0.414 0.374 0.724
0.253 0.458 0.439
0.253 0.959 0.943
```

Space-group type: P-1
Energy of formation from the pure elements, eV/atom: -2.14
ρ, g/cm3: 3.9
Size of the total moment, μB per formula unit: 18.00

=====

Entry 6:
Computed, not measured: an optimized crystal structure of FeNi2O4 at the GGA+U level of DFT.

The structure in POSCAR format:
```
FeNi2O4
1.0
-3.012 -4.713 -1.800
-2.894 4.642 2.279
2.539 0.418 -5.344
Fe Ni O
2 4 8
direct
0.370 0.241 0.120
0.630 0.759 0.880
0.000 0.000 0.500
0.500 0.000 0.500
0.000 0.500 0.500
0.000 0.500 0.000
0.758 0.015 0.270
0.238 0.508 0.254
0.242 0.985 0.730
0.769 0.508 0.254
0.242 0.985 0.254
0.762 0.492 0.746
0.758 0.015 0.746
0.231 0.492 0.746
```

Space-group type: Imma
Energy of formation from the pure elements, eV/atom: -1.29
ρ, g/cm3: 5.4
Size of the total moment, μB per formula unit: 4.19

=====

Entry 7:
Computed, not measured: an optimized crystal structure of MgSc4Fe4O12 at the GGA+U level of DFT.

The structure in POSCAR format:
```
MgSc4Fe4O12
1.0
-3.628 -2.734 -2.676
-1.294 -3.234 4.435
-5.889 5.061 2.166
Mg Sc Fe O
1 4 4 12
direct
0.397 0.233 0.094
0.011 0.967 0.732
0.509 0.445 0.704
0.548 0.620 0.282
0.951 0.015 0.206
0.971 0.511 0.991
0.016 0.526 0.495
0.502 0.838 0.896
0.483 0.041 0.495
0.200 0.478 0.278
0.194 0.245 0.604
0.159 0.038 0.958
0.298 0.749 0.597
0.344 0.518 0.933
0.335 0.981 0.282
0.641 0.092 0.741
0.741 0.313 0.138
0.680 0.372 0.465
0.740 0.792 0.087
0.801 0.841 0.421
0.839 0.623 0.751
```

Space-group type: P1
Energy of formation from the pure elements, eV/atom: -2.70
ρ, g/cm3: 4.3
Size of the total moment, μB per formula unit: 18.00

=====

Entry 8:
Computed, not measured: an optimized crystal structure of Li6MnNiP2C2O14 at the GGA+U level of DFT.

The structure in POSCAR format:
```
Li6MnNiP2C2O14
1.0
8.515 0.102 0.000
0.454 4.979 0.000
0.000 0.000 6.500
Li Mn Ni P C O
6 1 1 2 2 14
direct
0.102 0.791 0.250
0.271 0.264 0.018
0.271 0.264 0.482
0.729 0.734 0.518
0.729 0.734 0.982
0.895 0.208 0.750
0.659 0.221 0.250
0.333 0.792 0.750
0.408 0.729 0.250
0.586 0.265 0.750
0.044 0.683 0.750
0.964 0.323 0.250
0.071 0.933 0.750
0.107 0.390 0.250
0.167 0.503 0.750
0.307 0.840 0.062
0.307 0.840 0.438
0.422 0.160 0.750
0.422 0.415 0.250
0.563 0.580 0.750
0.576 0.817 0.250
0.692 0.160 0.935
0.692 0.160 0.565
0.845 0.510 0.250
0.901 0.612 0.750
0.935 0.074 0.250
```

Space-group type: Pm
Energy of formation from the pure elements, eV/atom: -2.35
ρ, g/cm3: 2.8
Size of the total moment, μB per formula unit: 7.00

=====

Entry 9:
Computed, not measured: an optimized crystal structure of Ba5SrNd2Fe4O15 at the GGA+U level of DFT.

The structure in POSCAR format:
```
Ba5SrNd2Fe4O15
1.0
-5.600 0.924 10.419
-2.180 -9.273 -7.073
5.228 -3.627 3.137
Ba Sr Nd Fe O
10 2 4 8 30
direct
0.000 0.000 0.499
0.000 0.000 0.999
0.333 0.669 0.019
0.669 0.333 0.519
0.829 0.652 0.834
0.347 0.171 0.837
0.826 0.174 0.834
0.171 0.347 0.337
0.652 0.829 0.334
0.174 0.826 0.334
0.522 0.044 0.166
0.044 0.522 0.666
0.957 0.478 0.165
0.521 0.478 0.162
0.478 0.957 0.665
0.478 0.521 0.662
0.665 0.331 0.976
0.331 0.665 0.476
0.177 0.819 0.837
0.179 0.358 0.840
0.644 0.820 0.836
0.819 0.177 0.337
0.820 0.644 0.336
0.358 0.179 0.340
0.936 0.328 0.466
0.666 0.604 0.472
0.393 0.064 0.482
0.935 0.606 0.466
0.670 0.063 0.482
0.396 0.333 0.473
0.063 0.670 0.982
0.333 0.396 0.973
0.606 0.935 0.966
0.064 0.393 0.982
0.328 0.936 0.966
0.604 0.666 0.972
0.418 0.581 0.333
0.416 0.830 0.339
0.168 0.583 0.325
0.581 0.418 0.833
0.583 0.168 0.825
0.830 0.416 0.839
0.755 0.256 0.160
0.748 0.501 0.160
0.499 0.257 0.161
0.256 0.755 0.660
0.257 0.499 0.661
0.501 0.748 0.660
0.097 0.193 0.735
0.809 0.903 0.733
0.094 0.903 0.733
0.903 0.809 0.233
0.193 0.097 0.235
0.903 0.094 0.233
```

Space-group type: Cc
Energy of formation from the pure elements, eV/atom: -2.71
ρ, g/cm3: 5.9

=====

Entry 10:
Computed, not measured: an optimized crystal structure of Mo2P3O12 at the GGA+U level of DFT.

The structure in POSCAR format:
```
Mo2P3O12
1.0
-2.406 -8.266 1.410
8.434 2.201 0.340
0.550 -3.330 8.350
Mo P O
4 6 24
direct
0.786 0.142 0.072
0.788 0.643 0.569
0.212 0.357 0.431
0.214 0.858 0.928
0.283 0.032 0.251
0.717 0.750 0.249
0.283 0.250 0.751
0.717 0.968 0.749
0.003 0.535 0.748
0.997 0.465 0.252
0.490 0.072 0.221
0.867 0.367 0.916
0.905 0.145 0.585
0.848 0.553 0.724
0.133 0.633 0.084
0.095 0.855 0.415
0.152 0.447 0.276
0.145 0.715 0.773
0.151 0.511 0.582
0.272 0.201 0.282
0.280 0.004 0.083
0.701 0.916 0.227
0.519 0.570 0.279
0.268 0.265 0.589
0.849 0.489 0.418
0.086 0.218 0.923
0.914 0.782 0.077
0.510 0.928 0.779
0.732 0.735 0.411
0.481 0.430 0.721
0.299 0.084 0.773
0.720 0.996 0.917
0.728 0.799 0.718
0.855 0.285 0.227
```

Space-group type: P-1
Energy of formation from the pure elements, eV/atom: -2.43
ρ, g/cm3: 3.2

=====

Entry 11:
Computed, not measured: an optimized crystal structure of Na2VO3 at the GGA+U level of DFT.

The structure in POSCAR format:
```
Na2VO3
1.0
3.618 3.032 2.833
8.376 -3.331 -3.511
-0.037 5.127 -2.007
Na V O
8 4 12
direct
0.007 0.987 0.493
0.577 0.844 0.422
0.172 0.655 0.329
0.744 0.511 0.254
0.254 0.487 0.743
0.327 0.345 0.172
0.420 0.155 0.576
0.494 0.013 0.006
0.082 0.828 0.916
0.662 0.670 0.837
0.834 0.329 0.661
0.916 0.171 0.082
0.346 0.809 0.109
0.845 0.809 0.702
0.403 0.691 0.643
0.904 0.690 0.049
0.556 0.500 0.942
0.939 0.499 0.558
0.048 0.309 0.904
0.642 0.307 0.402
0.700 0.190 0.844
0.107 0.191 0.345
0.191 0.001 0.808
0.810 0.998 0.190
```

Space-group type: P1
Energy of formation from the pure elements, eV/atom: -2.22
ρ, g/cm3: 3.7
Size of the total moment, μB per formula unit: 1.00

=====

Entry 12:
Computed, not measured: an optimized crystal structure of Li2Ti2Mn3O10 at the GGA+U level of DFT.

The structure in POSCAR format:
```
Li2Ti2Mn3O10
1.0
-2.306 3.209 -3.140
-4.758 -2.004 0.182
-3.916 4.732 4.671
Li Ti Mn O
2 2 3 10
direct
0.512 0.760 0.407
0.488 0.240 0.593
0.014 0.870 0.681
0.986 0.130 0.319
0.500 0.000 0.000
0.987 0.310 0.893
0.013 0.690 0.107
0.220 0.977 0.861
0.794 0.653 0.937
0.770 0.914 0.522
0.261 0.813 0.215
0.203 0.543 0.669
0.797 0.457 0.331
0.739 0.187 0.785
0.230 0.086 0.478
0.206 0.347 0.063
0.780 0.023 0.139
```

Space-group type: P-1
Energy of formation from the pure elements, eV/atom: -2.53
ρ, g/cm3: 3.8
Size of the total moment, μB per formula unit: 11.00

=====

Repeat the first record exactly.
Computed, not measured: an optimized crystal structure of Li3Fe2OF5 at the GGA+U level of DFT.

The structure in POSCAR format:
```
Li3Fe2OF5
1.0
5.261 0.000 0.000
-1.700 4.984 0.000
-1.753 -2.470 8.995
Li Fe O F
6 4 2 10
direct
0.794 0.540 0.083
0.876 0.122 0.242
0.540 0.788 0.583
0.466 0.217 0.437
0.114 0.863 0.729
0.217 0.463 0.926
0.292 0.043 0.082
0.040 0.290 0.584
0.369 0.623 0.240
0.710 0.964 0.927
0.045 0.296 0.085
0.547 0.795 0.083
0.125 0.889 0.254
0.801 0.528 0.583
0.621 0.358 0.250
0.678 0.968 0.421
0.360 0.651 0.744
0.241 0.452 0.422
0.277 0.052 0.583
0.448 0.213 0.912
0.877 0.087 0.747
0.978 0.715 0.916
```

Space-group type: P1
Energy of formation from the pure elements, eV/atom: -2.61
ρ, g/cm3: 3.4
Size of the total moment, μB per formula unit: 8.00